Record 1
Below is crystalline MgTi2Cd2O6 at its relaxed geometry, with properties calculated at the PBE level.

Theoretical density (g/cm3): 5.40
Space-group type: R-3
Spin magnetization (μB per formula unit): 0.0
ΔE_f (kJ/mol of atoms): -246
Raw total energy (eV/atom): -6.62

a = 6.0761 Å, b = 6.0761 Å, c = 6.0761 Å
α = 53.81°, β = 53.81°, γ = 53.81°
Closest atoms and distances in Å follow each position.
Element x y z (fractional)
Cd  0.5915  0.5915  0.5915  3 O 2.58, 1 Cd 2.84
Ti  0.1839  0.1839  0.1839  3 O 1.89
Cd  0.4085  0.4085  0.4085  3 O 2.58, 1 Cd 2.84
Ti  0.8161  0.8161  0.8161  3 O 1.89
O  0.9567  0.8908  0.4139  1 Ti 1.89, 1 Mg 2.07
O  0.4139  0.9567  0.8908  1 Ti 1.89, 1 Mg 2.07
O  0.1092  0.5861  0.0433  1 Ti 1.89, 1 Mg 2.07
O  0.5861  0.0433  0.1092  1 Ti 1.89, 1 Mg 2.07
O  0.8908  0.4139  0.9567  1 Ti 1.89, 1 Mg 2.07
Mg  0.0000  0.0000  0.0000  6 O 2.07
O  0.0433  0.1092  0.5861  1 Ti 1.89, 1 Mg 2.07

Record 2
Below is crystalline YMg14CdO16 at its relaxed geometry, with properties calculated at the PBE level.

Theoretical density (g/cm3): 3.88
Space-group type: Pmmm
Spin magnetization (μB per formula unit): 0.0
ΔE_f (kJ/mol of atoms): -276
Raw total energy (eV/atom): -5.93

a = 4.3940 Å, b = 8.7499 Å, c = 8.8678 Å
α = 90.00°, β = 90.00°, γ = 90.00°
Closest atoms and distances in Å follow each position.
Element x y z (fractional)
O  0.5000  0.7504  0.7526  6 Mg 2.19-2.24
Mg  0.0000  0.5000  0.5000  4 O 1.99-2.20
O  0.0000  0.7396  0.0000  5 Mg 2.10-2.28, 1 Y 2.28
Mg  0.5000  0.0000  0.7390  6 O 2.12-2.31
Mg  0.0000  0.7413  0.7429  6 O 2.11-2.28
Mg  0.0000  0.2587  0.7429  6 O 2.11-2.28
O  0.0000  0.0000  0.7567  1 Y 2.16, 4 Mg 2.20-2.27, 1 Cd 2.28
Mg  0.5000  0.5000  0.2524  6 O 2.19-2.24
O  0.0000  0.7277  0.5000  5 Mg 1.99-2.20
Mg  0.0000  0.5000  0.0000  6 O 2.10-2.20
O  0.0000  0.5000  0.7538  6 Mg 2.11-2.25
Mg  0.0000  0.7413  0.2571  6 O 2.11-2.28
Mg  0.5000  0.2556  0.5000  6 O 2.14-2.24
O  0.5000  0.5000  0.5000  6 Mg 2.14-2.20
O  0.0000  0.0000  0.2433  1 Y 2.16, 4 Mg 2.20-2.27, 1 Cd 2.28
O  0.5000  0.2496  0.7526  6 Mg 2.19-2.24
Mg  0.5000  0.5000  0.7476  6 O 2.19-2.24
O  0.5000  0.0000  0.0000  2 Y 2.20, 4 Mg 2.30-2.31
Mg  0.5000  0.0000  0.2610  6 O 2.12-2.31
O  0.0000  0.2604  0.0000  5 Mg 2.10-2.28, 1 Y 2.28
Y  0.0000  0.0000  0.0000  6 O 2.16-2.28
O  0.5000  0.2496  0.2474  6 Mg 2.19-2.24
O  0.5000  0.5000  0.0000  6 Mg 2.07-2.24
Mg  0.5000  0.2632  0.0000  6 O 2.07-2.30
Mg  0.5000  0.7368  0.0000  6 O 2.07-2.30
O  0.5000  0.0000  0.5000  4 Mg 2.12-2.24, 2 Cd 2.20
O  0.0000  0.2723  0.5000  5 Mg 1.99-2.20
O  0.5000  0.7504  0.2474  6 Mg 2.19-2.24
Mg  0.5000  0.7444  0.5000  6 O 2.14-2.24
O  0.0000  0.5000  0.2462  6 Mg 2.11-2.25
Cd  0.0000  0.0000  0.5000  6 O 2.20-2.38
Mg  0.0000  0.2587  0.2571  6 O 2.11-2.28

Record 3
Below is crystalline Pm2MgCd at its relaxed geometry, with properties calculated at the PBE level.

Theoretical density (g/cm3): 6.23
Space-group type: Fm-3m
ΔE_f (kJ/mol of atoms): -20
Raw total energy (eV/atom): -3.21

a = 5.4397 Å, b = 5.4397 Å, c = 5.4397 Å
α = 60.00°, β = 60.00°, γ = 60.00°
Closest atoms and distances in Å follow each position.
Element x y z (fractional)
Cd  0.5000  0.5000  0.5000  8 Pm 3.33
Pm  0.7500  0.7500  0.7500  4 Cd 3.33, 4 Mg 3.33
Mg  0.0000  0.0000  0.0000  8 Pm 3.33
Pm  0.2500  0.2500  0.2500  4 Cd 3.33, 4 Mg 3.33

Record 4
Below is crystalline PmMgCd2 at its relaxed geometry, with properties calculated at the PBE level.

Theoretical density (g/cm3): 6.66
Space-group type: Fm-3m
ΔE_f (kJ/mol of atoms): -32
Raw total energy (eV/atom): -2.38

a = 5.1809 Å, b = 5.1809 Å, c = 5.1809 Å
α = 60.00°, β = 60.00°, γ = 60.00°
Closest atoms and distances in Å follow each position.
Element x y z (fractional)
Cd  0.7500  0.7500  0.7500  4 Pm 3.17, 4 Mg 3.17
Pm  0.0000  0.0000  0.0000  8 Cd 3.17
Cd  0.2500  0.2500  0.2500  4 Mg 3.17, 4 Pm 3.17
Mg  0.5000  0.5000  0.5000  8 Cd 3.17

Record 5
Below is crystalline PrMgCd2 at its relaxed geometry, with properties calculated at the PBE level.

Theoretical density (g/cm3): 6.41
Space-group type: Fm-3m
ΔE_f (kJ/mol of atoms): -32
Raw total energy (eV/atom): -2.39

a = 5.2272 Å, b = 5.2272 Å, c = 5.2272 Å
α = 60.00°, β = 60.00°, γ = 60.00°
Closest atoms and distances in Å follow each position.
Element x y z (fractional)
Cd  0.7500  0.7500  0.7500  4 Pr 3.20, 4 Mg 3.20
Mg  0.5000  0.5000  0.5000  8 Cd 3.20
Cd  0.2500  0.2500  0.2500  4 Mg 3.20, 4 Pr 3.20
Pr  0.0000  0.0000  0.0000  8 Cd 3.20

Record 6
Below is crystalline RbMg6Cd at its relaxed geometry, with properties calculated at the PBE level.

Theoretical density (g/cm3): 2.59
Spin magnetization (μB per formula unit): 0.0
ΔE_f (kJ/mol of atoms): 19
Raw total energy (eV/atom): -1.24

a = 5.4282 Å, b = 6.8057 Å, c = 11.9331 Å
α = 90.00°, β = 90.00°, γ = 90.00°
Closest atoms and distances in Å follow each position.
Element x y z (fractional)
Mg  0.0000  0.2320  0.5782  6 Mg 3.16-3.44, 2 Cd 3.30, 2 Rb 3.44
Mg  0.5000  0.2443  0.4177  8 Mg 3.30-3.48, 2 Cd 3.37-3.50, 2 Rb 3.43-3.44
Mg  0.0000  0.5000  0.8452  8 Mg 3.20-3.41, 2 Rb 3.45
Mg  0.5000  0.7557  0.4177  8 Mg 3.30-3.48, 2 Cd 3.37-3.50, 2 Rb 3.43-3.44
Mg  0.0000  0.5000  0.3334  10 Mg 3.38-3.44, 2 Cd 3.39
Mg  0.0000  0.7680  0.5782  6 Mg 3.16-3.44, 2 Cd 3.30, 2 Rb 3.44
Mg  0.0000  0.0000  0.8334  10 Mg 3.38-3.44, 2 Cd 3.39
Mg  0.5000  0.2557  0.9177  8 Mg 3.30-3.48, 2 Cd 3.37-3.50, 2 Rb 3.43-3.44
Mg  0.0000  0.0000  0.3452  8 Mg 3.20-3.41, 2 Rb 3.45
Cd  0.5000  0.0000  0.6631  10 Mg 3.30-3.50, 2 Rb 3.40
Rb  0.5000  0.5000  0.6667  2 Cd 3.40, 10 Mg 3.43-3.45
Mg  0.5000  0.7443  0.9177  8 Mg 3.30-3.48, 2 Cd 3.37-3.50, 2 Rb 3.43-3.44
Rb  0.5000  0.0000  0.1667  2 Cd 3.40, 10 Mg 3.43-3.45
Mg  0.0000  0.7320  0.0782  6 Mg 3.16-3.44, 2 Cd 3.30, 2 Rb 3.44
Cd  0.5000  0.5000  0.1631  10 Mg 3.30-3.50, 2 Rb 3.40
Mg  0.0000  0.2680  0.0782  6 Mg 3.16-3.44, 2 Cd 3.30, 2 Rb 3.44

Record 7
Below is crystalline RbMg14Cd at its relaxed geometry, with properties calculated at the PBE level.

Theoretical density (g/cm3): 2.22
Space-group type: P-6m2
Spin magnetization (μB per formula unit): 0.0
ΔE_f (kJ/mol of atoms): 12
Raw total energy (eV/atom): -1.39

a = 6.6026 Å, b = 6.6026 Å, c = 10.6728 Å
α = 90.00°, β = 90.00°, γ = 120.00°
Closest atoms and distances in Å follow each position.
Element x y z (fractional)
Mg  0.8190  0.1595  0.8551  10 Mg 3.09-3.44, 1 Cd 3.16
Mg  0.1757  0.8378  0.1250  10 Mg 3.21-3.42, 2 Rb 3.30
Mg  0.6622  0.8378  0.1250  10 Mg 3.21-3.42, 2 Rb 3.30
Mg  0.8333  0.6667  0.3697  12 Mg 3.26-3.31
Mg  0.6622  0.3243  0.1250  10 Mg 3.21-3.42, 2 Rb 3.30
Mg  0.3405  0.6810  0.8551  10 Mg 3.09-3.44, 1 Cd 3.16
Cd  0.1667  0.3333  0.6250  12 Mg 3.16-3.30
Mg  0.8190  0.1595  0.3949  10 Mg 3.09-3.44, 1 Cd 3.16
Mg  0.3405  0.1595  0.3949  10 Mg 3.09-3.44, 1 Cd 3.16
Mg  0.1619  0.8310  0.6250  10 Mg 3.09-3.35, 2 Cd 3.30
Mg  0.3405  0.1595  0.8551  10 Mg 3.09-3.44, 1 Cd 3.16
Rb  0.1667  0.3333  0.1250  12 Mg 3.30-3.50
Mg  0.3405  0.6810  0.3949  10 Mg 3.09-3.44, 1 Cd 3.16
Mg  0.8333  0.6667  0.8803  12 Mg 3.26-3.31
Mg  0.6690  0.3381  0.6250  10 Mg 3.09-3.35, 2 Cd 3.30
Mg  0.6690  0.8310  0.6250  10 Mg 3.09-3.35, 2 Cd 3.30

Record 8
Below is crystalline RbMg14Cd at its relaxed geometry, with properties calculated at the PBE level.

Theoretical density (g/cm3): 2.23
Space-group type: Amm2
Spin magnetization (μB per formula unit): 0.0
ΔE_f (kJ/mol of atoms): 11
Raw total energy (eV/atom): -1.40

a = 6.5888 Å, b = 6.5904 Å, c = 10.6697 Å
α = 90.00°, β = 90.00°, γ = 120.01°
Closest atoms and distances in Å follow each position.
Element x y z (fractional)
Mg  0.3394  0.1600  0.8603  10 Mg 3.13-3.42, 1 Cd 3.37, 1 Rb 3.45
Mg  0.6627  0.8384  0.1250  8 Mg 3.20-3.39, 2 Cd 3.21-3.38, 2 Rb 3.29-3.30
Cd  0.1759  0.8379  0.1250  10 Mg 3.21-3.38, 2 Rb 3.30
Mg  0.8202  0.1601  0.8587  11 Mg 3.12-3.42, 1 Rb 3.46
Mg  0.6627  0.3243  0.1250  8 Mg 3.20-3.39, 2 Cd 3.21-3.38, 2 Rb 3.29-3.30
Mg  0.1671  0.3336  0.6250  12 Mg 3.18-3.30
Mg  0.8338  0.6669  0.8797  1 Cd 3.26, 11 Mg 3.27-3.31
Rb  0.1667  0.3334  0.1250  10 Mg 3.29-3.46, 2 Cd 3.30
Mg  0.3394  0.6795  0.3897  10 Mg 3.13-3.42, 1 Cd 3.37, 1 Rb 3.45
Mg  0.3394  0.1600  0.3897  10 Mg 3.13-3.42, 1 Cd 3.37, 1 Rb 3.45
Mg  0.8338  0.6669  0.3703  1 Cd 3.26, 11 Mg 3.27-3.31
Mg  0.1656  0.8328  0.6250  12 Mg 3.13-3.31
Mg  0.3394  0.6795  0.8603  10 Mg 3.13-3.42, 1 Cd 3.37, 1 Rb 3.45
Mg  0.6667  0.3344  0.6250  12 Mg 3.12-3.31
Mg  0.8202  0.1601  0.3913  11 Mg 3.12-3.42, 1 Rb 3.46
Mg  0.6667  0.8324  0.6250  12 Mg 3.12-3.31